Record 1
A relaxed structure of Bi12RuO20. Source: the Materials Project, functional PBE.

* space-group type: I23, No. 197
* ρ: 8819 kg/m3

abc: 8.948 8.948 8.948
angles: 109.47 109.47 109.47
Fractional positions:
Bi: 0.838 0.503 0.696
O: 0.760 0.379 0.119
Bi: 0.142 0.304 0.807
Bi: 0.497 0.336 0.193
O: 0.119 0.760 0.379
Bi: 0.336 0.193 0.497
O: 0.787 0.787 0.787
O: 0.000 0.615 0.000
O: 0.618 0.240 0.358
Bi: 0.304 0.807 0.142
Bi: 0.193 0.497 0.336
O: 0.382 0.740 0.621
Ru: 0.000 0.000 0.000
O: 0.000 0.000 0.213
Bi: 0.858 0.664 0.162
O: 0.358 0.618 0.240
Bi: 0.503 0.696 0.838
O: 0.642 0.881 0.260
Bi: 0.807 0.142 0.304
O: 0.260 0.642 0.881
O: 0.385 0.385 0.385
O: 0.740 0.621 0.382
O: 0.240 0.358 0.618
O: 0.000 0.000 0.615
O: 0.621 0.382 0.740
O: 0.000 0.213 0.000
O: 0.881 0.260 0.642
Bi: 0.696 0.838 0.503
O: 0.213 0.000 0.000
O: 0.615 0.000 0.000
Bi: 0.162 0.858 0.664
Bi: 0.664 0.162 0.858
O: 0.379 0.119 0.760


Record 2
A relaxed structure of Na5Zn2Ga2P3S3O24. Source: the Materials Project, functional PBE.

* space-group type: P1, No. 1
* ρ: 3250 kg/m3

abc: 8.802 8.766 22.026
angles: 90.77 90.12 120.18
Fractional positions:
O: 0.519 0.825 0.756
Zn: 0.663 0.330 0.683
O: 0.861 0.500 0.421
O: 0.478 0.115 0.637
Zn: 0.337 0.668 0.516
O: 0.640 0.501 0.922
O: 0.177 0.214 0.691
O: 0.311 0.828 0.255
O: 0.314 0.864 0.978
O: 0.540 0.690 0.970
Na: 0.635 0.632 0.746
S: 0.624 0.661 0.917
O: 0.683 0.531 0.244
O: 0.163 0.690 0.756
P: 0.955 0.628 0.085
O: 0.815 0.026 0.809
P: 0.703 0.998 0.753
O: 0.513 0.653 0.579
O: 0.354 0.490 0.076
O: 0.860 0.359 0.921
Na: 0.666 0.965 0.580
P: 0.294 0.295 0.750
O: 0.516 0.862 0.077
Na: 0.996 0.359 0.748
Na: 0.328 0.671 0.665
O: 0.476 0.359 0.138
O: 0.364 0.486 0.363
O: 0.147 0.456 0.970
O: 0.181 0.199 0.411
O: 0.196 0.169 0.087
S: 0.006 0.713 0.750
O: 0.308 0.450 0.473
O: 0.513 0.151 0.924
O: 0.812 0.990 0.412
O: 0.117 0.479 0.860
Zn: 0.669 0.334 0.183
Na: 0.299 0.961 0.081
Zn: 0.002 0.004 0.349
P: 0.295 0.002 0.251
Ga: 0.671 0.332 0.485
Na: 0.639 0.010 0.252
O: 0.482 0.329 0.744
O: 0.835 0.026 0.089
O: 0.349 0.863 0.576
Na: 0.966 0.295 0.415
O: 0.977 0.162 0.588
O: 0.017 0.821 0.411
O: 0.376 0.878 0.864
O: 0.175 0.985 0.912
O: 0.143 0.655 0.080
P: 0.674 0.627 0.584
O: 0.968 0.186 0.309
O: 0.212 0.186 0.805
Ga: 0.006 0.999 0.151
S: 0.038 0.667 0.417
P: 0.007 0.295 0.251
O: 0.114 0.630 0.361
O: 0.009 0.194 0.912
S: 0.340 0.375 0.417
Zn: 0.018 0.009 0.850
Na: 0.005 0.993 0.998
O: 0.637 0.518 0.642
O: 0.640 0.116 0.138
S: 0.038 0.375 0.916
O: 0.528 0.695 0.255
Na: 0.000 0.632 0.246
O: 0.175 0.484 0.257
O: 0.144 0.690 0.471
O: 0.481 0.158 0.244
Ga: 0.333 0.672 0.316
S: 0.369 0.039 0.583
O: 0.689 0.164 0.745
O: 0.845 0.320 0.245
S: 0.373 0.334 0.084
O: 0.645 0.153 0.422
O: 0.194 0.027 0.589
P: 0.963 0.336 0.584
Na: 0.646 0.325 0.333
O: 0.501 0.361 0.422
S: 0.674 0.039 0.083
O: 0.545 0.858 0.475
Na: 0.696 0.028 0.913
O: 0.149 0.493 0.577
O: 0.034 0.820 0.695
O: 0.798 0.821 0.912
O: 0.973 0.788 0.804
Na: 0.305 0.342 0.585
O: 0.513 0.876 0.359
Na: 0.644 0.319 0.832
Ga: 0.342 0.679 0.816
O: 0.451 0.295 0.029
O: 0.850 0.533 0.745
O: 0.782 0.958 0.694
O: 0.783 0.821 0.196
O: 0.697 0.536 0.527
O: 0.812 0.784 0.305
O: 0.842 0.815 0.589
S: 0.704 0.707 0.251
O: 0.977 0.819 0.089
Na: 0.990 0.979 0.497
P: 0.335 0.965 0.920
O: 0.304 0.482 0.756
O: 0.842 0.295 0.527
O: 0.882 0.359 0.642
Na: 0.322 0.645 0.164
O: 0.032 0.204 0.195
O: 0.178 0.959 0.192
O: 0.838 0.538 0.028
O: 0.208 0.025 0.306
O: 0.518 0.631 0.860
O: 0.879 0.526 0.143
Zn: 0.320 0.665 0.017
P: 0.626 0.963 0.418
O: 0.698 0.146 0.028
O: 0.448 0.153 0.529
Ga: 0.665 0.341 0.984
Ga: 0.990 0.001 0.651


Record 3
A relaxed structure of La9Al5Se21. Source: the Materials Project, functional PBE.

* space-group type: R3, No. 146
* ρ: 5426 kg/m3

abc: 12.391 12.391 12.391
angles: 96.52 96.52 96.52
Fractional positions:
Se: 0.969 0.068 0.482
Se: 0.180 0.845 0.515
La: 0.118 0.884 0.748
Al: 0.722 0.389 0.055
La: 0.548 0.784 0.923
Se: 0.739 0.656 0.880
Se: 0.617 0.707 0.470
Se: 0.470 0.617 0.707
Se: 0.544 0.449 0.025
Al: 0.389 0.055 0.722
Se: 0.680 0.016 0.346
La: 0.412 0.783 0.550
Se: 0.656 0.880 0.739
Se: 0.697 0.209 0.112
Se: 0.302 0.398 0.818
Se: 0.818 0.302 0.398
Se: 0.393 0.307 0.545
La: 0.219 0.080 0.455
La: 0.449 0.585 0.215
Se: 0.878 0.781 0.361
Al: 0.848 0.848 0.848
Se: 0.068 0.482 0.969
Al: 0.222 0.555 0.888
Se: 0.781 0.361 0.878
Se: 0.730 0.154 0.635
Se: 0.079 0.989 0.226
Se: 0.515 0.180 0.845
Se: 0.937 0.023 0.785
La: 0.550 0.412 0.783
Se: 0.482 0.969 0.068
La: 0.215 0.449 0.585
Se: 0.023 0.785 0.937
Se: 0.845 0.515 0.180
Se: 0.361 0.878 0.781
Al: 0.888 0.222 0.555
Se: 0.361 0.136 0.277
La: 0.455 0.219 0.080
Se: 0.880 0.739 0.656
Se: 0.707 0.470 0.617
Al: 0.661 0.661 0.661
Al: 0.555 0.888 0.222
La: 0.784 0.923 0.548
Se: 0.785 0.937 0.023
Se: 0.635 0.730 0.154
La: 0.881 0.114 0.251
La: 0.114 0.251 0.881
Se: 0.545 0.393 0.307
Se: 0.154 0.635 0.730
La: 0.748 0.118 0.884
La: 0.923 0.548 0.784
Se: 0.226 0.079 0.989
Se: 0.346 0.680 0.016
Se: 0.016 0.346 0.680
Se: 0.277 0.361 0.136
Se: 0.209 0.112 0.697
Se: 0.025 0.544 0.449
Al: 0.161 0.161 0.161
La: 0.251 0.881 0.114
Se: 0.307 0.545 0.393
Se: 0.136 0.277 0.361
La: 0.783 0.550 0.412
Al: 0.348 0.348 0.348
Se: 0.449 0.025 0.544
Se: 0.398 0.818 0.302
Al: 0.055 0.722 0.389
Se: 0.989 0.226 0.079
Se: 0.112 0.697 0.209
La: 0.884 0.748 0.118
La: 0.080 0.455 0.219
La: 0.585 0.215 0.449


| no. | formation energy (eV per atom) |
| --- | --- |
| 1 | -1.57 |
| 2 | -2.25 |
| 3 | -1.92 |